--- 1 ---
Crystalline RbMg14Cd at its relaxed geometry. Source: the Materials Project database, functional PBE.

Results
Crystal system: hexagonal
Symmetry: P-6m2 (187)
V, A^3/atom: 25.184

abc: 6.603 6.603 10.673
angles: 90.00 90.00 120.00
Sites, in units of the cell vectors:
Rb1 0.167 0.333 0.125
Mg1 0.176 0.838 0.125
Mg2 0.162 0.831 0.625
Mg3 0.662 0.324 0.125
Mg4 0.669 0.338 0.625
Mg5 0.662 0.838 0.125
Mg6 0.669 0.831 0.625
Mg7 0.340 0.160 0.395
Mg8 0.340 0.160 0.855
Mg9 0.340 0.681 0.395
Mg10 0.340 0.681 0.855
Mg11 0.819 0.160 0.395
Mg12 0.819 0.160 0.855
Mg13 0.833 0.667 0.370
Mg14 0.833 0.667 0.880
Cd1 0.167 0.333 0.625

***

--- 2 ---
Crystalline RbMg14Cd at its relaxed geometry. Source: the Materials Project database, functional PBE.

Results
Crystal system: orthorhombic
Symmetry: Amm2 (38)
V, A^3/atom: 25.076

abc: 6.589 6.590 10.670
angles: 90.00 90.00 120.01
Sites, in units of the cell vectors:
Rb1 0.167 0.333 0.125
Mg1 0.167 0.334 0.625
Mg2 0.166 0.833 0.625
Mg3 0.663 0.324 0.125
Mg4 0.667 0.334 0.625
Mg5 0.663 0.838 0.125
Mg6 0.667 0.832 0.625
Mg7 0.339 0.160 0.390
Mg8 0.339 0.160 0.860
Mg9 0.339 0.679 0.390
Mg10 0.339 0.679 0.860
Mg11 0.820 0.160 0.391
Mg12 0.820 0.160 0.859
Mg13 0.834 0.667 0.370
Mg14 0.834 0.667 0.880
Cd1 0.176 0.838 0.125

***

According to the calculations, the structures order from most to least stable as 2, 1.